(1)
DFT (PBE-GGA) results for MgFeAg2SnS4 after structural relaxation.

Results
- E_tot: -4.312 eV per atom
- Distance to the lowest polymorph of the same formula: 45 meV per atom
- Energy relative to the elements: -503 meV per atom

a b c (Å): 6.1195 6.1143 7.0912
angles (deg): 115.63 116.44 88.76
Fractional positions:
Mg (0.3447, 0.9318, 0.2757)
Fe (0.9579, 0.0162, 0.9740)
Ag (0.8162, 0.2812, 0.5137)
Ag (0.2317, 0.6980, 0.5125)
Sn (0.5451, 0.4658, 0.0108)
S (0.9053, 0.9094, 0.2300)
S (0.6266, 0.0700, 0.6966)
S (0.1383, 0.6783, 0.8164)
S (0.3196, 0.3244, 0.2294)

=====

(2)
DFT (PBE-GGA) results for FeAgN after structural relaxation.

Results
- E_tot: -6.181 eV per atom
- Energy relative to the elements: 245 meV per atom

a b c (Å): 9.0425 2.9687 6.2902
angles (deg): 90.00 90.00 90.00
Fractional positions:
Fe (0.5370, 0.2500, 0.3663)
Fe (0.0370, 0.2500, 0.1337)
Fe (0.4630, 0.7500, 0.6337)
Fe (0.9630, 0.7500, 0.8663)
Ag (0.6274, 0.2500, 0.9429)
Ag (0.1274, 0.2500, 0.5571)
Ag (0.3726, 0.7500, 0.0571)
Ag (0.8726, 0.7500, 0.4429)
N (0.8722, 0.2500, 0.9618)
N (0.3722, 0.2500, 0.5382)
N (0.1278, 0.7500, 0.0382)
N (0.6278, 0.7500, 0.4618)

=====

(3)
DFT (PBE-GGA) results for FeAgSbS4N6 after structural relaxation.

Results
- E_tot: -5.520 eV per atom
- Energy relative to the elements: 466 meV per atom

a b c (Å): 8.6291 7.2965 7.2965
angles (deg): 90.00 90.00 90.00
Fractional positions:
Fe (0.2500, 0.0000, 0.5000)
Fe (0.7500, 0.5000, 0.0000)
Ag (0.0000, 0.5000, 0.5000)
Ag (0.5000, 0.0000, 0.0000)
Sb (0.5000, 0.5000, 0.5000)
Sb (0.0000, 0.0000, 0.0000)
S (0.2462, 0.4046, 0.7073)
S (0.7462, 0.0954, 0.2073)
S (0.7538, 0.2927, 0.4046)
S (0.2538, 0.2073, 0.9046)
S (0.2462, 0.5954, 0.2927)
S (0.7462, 0.9046, 0.7927)
S (0.7538, 0.7073, 0.5954)
S (0.2538, 0.7927, 0.0954)
N (0.0088, 0.9456, 0.4437)
N (0.5088, 0.5544, 0.9437)
N (0.9912, 0.5563, 0.9456)
N (0.4912, 0.9437, 0.4456)
N (0.0088, 0.0544, 0.5563)
N (0.5088, 0.4456, 0.0563)
N (0.9912, 0.4437, 0.0544)
N (0.4912, 0.0563, 0.5544)
N (0.2500, 0.8376, 0.6624)
N (0.7500, 0.6624, 0.1624)
N (0.7500, 0.3376, 0.8376)
N (0.2500, 0.1624, 0.3376)

=====

(4)
DFT (PBE-GGA) results for Pr6Fe13Ag after structural relaxation.

Results
- E_tot: -7.087 eV per atom
- Energy relative to the elements: -6 meV per atom

a b c (Å): 13.0477 13.0477 13.0477
angles (deg): 143.95 143.95 51.91
Fractional positions:
Pr (0.3472, 0.8472, 0.8255)
Pr (0.4783, 0.6528, 0.5000)
Pr (0.1528, 0.9783, 0.5000)
Pr (0.9783, 0.4783, 0.8255)
Pr (0.6528, 0.1528, 0.1745)
Pr (0.5217, 0.3472, 0.5000)
Pr (0.0217, 0.5217, 0.1745)
Pr (0.8472, 0.0217, 0.5000)
Pr (0.1051, 0.1051, 0.0000)
Pr (0.3949, 0.3949, 0.0000)
Pr (0.8949, 0.8949, 0.0000)
Pr (0.6051, 0.6051, 0.0000)
Fe (0.2100, 0.9335, 0.1435)
Fe (0.1205, 0.6205, 0.8573)
Fe (0.2070, 0.4796, 0.5000)
Fe (0.7930, 0.5204, 0.5000)
Fe (0.0204, 0.2930, 0.5000)
Fe (0.2930, 0.7930, 0.2726)
Fe (0.5204, 0.0204, 0.7274)
Fe (0.4796, 0.9796, 0.2726)
Fe (0.7070, 0.2070, 0.7274)
Fe (0.9796, 0.7070, 0.5000)
Fe (0.3795, 0.2368, 0.5000)
Fe (0.6205, 0.7632, 0.5000)
Fe (0.5000, 0.0000, 0.5000)
Fe (0.7632, 0.2632, 0.1427)
Fe (0.5665, 0.2900, 0.8565)
Fe (0.2900, 0.4335, 0.7235)
Fe (0.7100, 0.5665, 0.2765)
Fe (0.9335, 0.7900, 0.7235)
Fe (0.0665, 0.2100, 0.2765)
Fe (0.7900, 0.0665, 0.8565)
Fe (0.0000, 0.5000, 0.5000)
Fe (0.4335, 0.7100, 0.1435)
Fe (0.7368, 0.8795, 0.5000)
Fe (0.8795, 0.3795, 0.1427)
Fe (0.2368, 0.7368, 0.8573)
Fe (0.2632, 0.1205, 0.5000)
Ag (0.7500, 0.7500, 0.0000)
Ag (0.2500, 0.2500, 0.0000)

=====

Which formula does entry 1 have?
MgFeAg2SnS4